LiFePCO7: relaxed, GGA+U.

Summary:
- energy above the most stable polymorph in this dataset (eV/f.u.) = 0.189
- energy relative to the elements (meV/atom) = -2062.4

```
44
Lattice="8.233 0.000 0.000 -1.843 8.028 0.000 -2.780 -3.429 8.345" Properties=species:S:1:pos:R:3 pbc="T T T"
Li 1.239 4.074 0.880
Li 3.666 -0.906 2.362
Li -2.719 4.480 7.422
Li 2.372 0.435 7.444
Fe -1.128 6.448 2.799
Fe 3.988 2.456 2.772
Fe 4.685 -1.830 5.580
Fe -0.366 2.176 5.545
P 1.236 4.167 3.518
P 6.250 0.167 3.521
P 2.408 0.452 4.820
P -2.645 4.462 4.834
C 3.568 1.820 0.349
C -1.489 5.895 0.353
C -3.126 -1.284 8.007
C 0.015 2.722 8.016
O -0.673 6.869 0.618
O 4.290 2.864 0.608
O -0.069 2.509 0.829
O 3.135 1.168 1.405
O 2.951 6.554 0.854
O 6.237 5.295 1.397
O -0.818 -0.384 2.680
O 5.495 1.161 2.616
O 0.549 5.213 2.569
O 2.334 3.596 2.573
O 1.992 -0.294 3.516
O 5.232 -0.976 3.887
O 0.259 3.051 3.944
O 5.049 3.823 3.545
O -1.487 0.802 4.834
O 3.307 1.626 4.376
O -1.680 5.597 4.402
O 1.789 4.829 4.789
O 1.234 0.957 5.691
O 3.171 -0.490 5.785
O -1.898 3.482 5.774
O 4.476 5.035 5.747
O -2.609 -0.649 6.988
O 0.442 -2.007 7.553
O 0.576 3.318 7.012
O 3.647 2.052 7.554
O -0.720 1.697 7.704
O 4.337 -2.260 7.647
```